1) ! r²SCAN Rb2MoO4, optimized geometry; values from VASP
! symmetry: No. 62
! V: 20.3 Å³/atom
&SYSTEM
  ibrav = 0, nat = 28, ntyp = 3
/
ATOMIC_SPECIES
O 16.00 O.upf
Mo 95.94 Mo.upf
Rb 85.47 Rb.upf
ATOMIC_POSITIONS angstrom
O 1.584 6.579 0.720
Mo 4.751 2.283 0.889
O 1.584 4.070 10.340
O 4.751 1.531 10.368
Rb 1.584 8.102 3.238
O 6.194 1.744 1.757
O 4.751 4.039 0.748
O 3.308 1.744 1.757
Rb 1.584 1.331 10.239
O 4.751 5.585 6.265
Mo 1.584 5.826 10.199
O 0.141 6.365 9.331
O 1.584 0.016 6.292
Rb 4.751 2.724 4.694
O 3.027 2.311 7.302
O 6.194 5.798 3.787
Rb 4.751 6.778 0.850
Rb 4.751 0.007 7.851
Mo 1.584 1.772 6.433
O 3.308 5.798 3.787
Rb 1.584 5.386 6.394
Rb 4.751 4.062 8.782
Mo 4.751 6.337 4.655
O 3.027 6.365 9.331
Rb 1.584 4.047 2.307
O 4.751 8.094 4.796
O 0.141 2.311 7.302
O 1.584 2.524 4.824
CELL_PARAMETERS angstrom
6.335 0.000 0.000
0.000 8.109 0.000
0.000 0.000 11.089

2) ! r²SCAN Rb2MoO4, optimized geometry; values from VASP
! symmetry: No. 12
! V: 20.2 Å³/atom
&SYSTEM
  ibrav = 0, nat = 14, ntyp = 3
/
ATOMIC_SPECIES
Mo 95.94 Mo.upf
Rb 85.47 Rb.upf
O 16.00 O.upf
ATOMIC_POSITIONS angstrom
Mo 3.112 3.744 4.296
Rb 0.000 1.779 5.008
O 1.442 1.640 -0.170
O 1.669 4.125 5.244
Rb 3.112 0.136 1.805
Mo 0.000 2.021 0.778
O 4.781 1.640 -0.170
O 3.112 1.999 3.972
Rb 3.112 3.986 0.066
O -1.669 4.125 5.244
O 0.000 1.066 2.272
O 0.000 3.766 1.102
Rb 0.000 5.629 3.269
O 3.112 4.699 2.802
CELL_PARAMETERS angstrom
6.223 0.000 0.000
-3.112 5.776 -2.790
0.000 -0.011 7.865

Tell me which of them is the least stable. Sure, it is 1).

1) ! r²SCAN Ga, optimized geometry; values from VASP
! symmetry: No. 139
! V: 17.7 Å³/atom
&SYSTEM
  ibrav = 0, nat = 1, ntyp = 1
/
ATOMIC_SPECIES
Ga 69.72 Ga.upf
ATOMIC_POSITIONS angstrom
Ga 0.000 0.000 0.000
CELL_PARAMETERS angstrom
2.443 0.000 -1.302
-0.694 2.343 -1.302
0.045 0.060 3.028

2) ! r²SCAN Ga, optimized geometry; values from VASP
! symmetry: No. 11
! V: 18.2 Å³/atom
&SYSTEM
  ibrav = 0, nat = 2, ntyp = 1
/
ATOMIC_SPECIES
Ga 69.72 Ga.upf
ATOMIC_POSITIONS angstrom
Ga 0.367 2.461 1.014
Ga 2.306 0.820 2.278
CELL_PARAMETERS angstrom
2.622 0.000 -0.918
0.000 3.282 0.000
0.050 0.000 4.210

Tell me which of them is the least stable. Sure, it is 1).

1) ! r²SCAN Li7Co5O12, optimized geometry; values from VASP
! symmetry: No. 12
! V: 7.9 Å³/atom
&SYSTEM
  ibrav = 0, nat = 24, ntyp = 3
/
ATOMIC_SPECIES
Co 58.93 Co.upf
O 16.00 O.upf
Li 6.94 Li.upf
ATOMIC_POSITIONS angstrom
Co -1.839 -0.064 2.115
O 0.120 2.440 3.886
Li 1.951 4.782 5.498
Co -0.573 6.094 1.536
O 1.695 4.455 3.457
Li -0.104 2.098 1.786
O 2.141 5.038 7.429
Li -1.992 2.074 3.905
O -0.252 4.232 1.758
Co -0.202 4.304 3.661
Co -2.210 1.725 -0.009
O 1.427 8.484 3.340
Co 0.169 2.514 5.786
O -0.524 6.169 3.437
O -2.099 4.154 3.866
Li -0.300 6.510 5.537
O -0.152 4.376 5.565
O -1.831 0.125 3.983
O 1.616 6.821 5.464
Li 0.000 0.000 0.000
O -2.545 3.570 -0.107
Li 1.588 6.534 3.418
Li -2.355 3.826 1.825
O -2.021 1.787 1.858
CELL_PARAMETERS angstrom
-2.581 3.518 -2.136
-1.468 -1.856 4.243
3.645 6.947 5.216

2) ! r²SCAN Li7Co5O12, optimized geometry; values from VASP
! symmetry: No. 2
! V: 7.9 Å³/atom
&SYSTEM
  ibrav = 0, nat = 24, ntyp = 3
/
ATOMIC_SPECIES
Li 6.94 Li.upf
O 16.00 O.upf
Co 58.93 Co.upf
ATOMIC_POSITIONS angstrom
Li 2.762 3.917 0.920
O 0.091 4.983 4.170
Co -2.785 3.177 3.683
O 0.011 1.359 3.088
O -2.883 4.977 4.173
O -1.398 2.826 4.877
Co 1.420 1.579 1.797
Li 1.406 5.451 2.726
O 2.809 1.933 0.604
O 1.400 3.401 2.393
Co 0.000 0.000 0.000
Li 0.027 3.925 0.916
O -0.003 1.831 0.535
O 1.320 -0.223 1.311
O 1.414 2.929 4.946
Li 1.384 0.835 4.564
O 4.294 -0.217 1.308
Li 2.804 0.003 -0.004
Co 4.196 1.583 1.798
Li 0.005 -0.692 2.755
O 2.806 1.349 3.079
Co -0.009 3.181 3.684
O -1.395 3.411 2.402
Li -1.352 0.843 4.561
CELL_PARAMETERS angstrom
5.609 0.006 -0.009
-1.407 6.145 0.023
-2.791 -1.391 5.467

Tell me which of them is the least stable. Sure, it is 1).